Rb2Y2P3O12: optimized geometry, meta-GGA r2SCAN.

Computed properties:
Formation energy: -2.90 eV per atom
Spin magnetization: 4.241 μB/cell
Calculated total energy: -11.70 eV per atom
Volume: 1210 Å³/cell

Lattice parameters (Å, degrees): 10.655 10.655 10.655 90.00 90.00 90.00
Positions (direct):
O: 0.671 0.518 0.420
O: 0.505 0.437 0.273
O: 0.273 0.505 0.437
O: 0.494 0.937 0.227
O: 0.982 0.580 0.171
O: 0.724 0.455 0.199
O: 0.850 0.761 0.098
O: 0.224 0.045 0.801
O: 0.150 0.261 0.402
O: 0.563 0.773 0.994
O: 0.801 0.224 0.045
O: 0.005 0.063 0.727
O: 0.650 0.239 0.598
O: 0.455 0.199 0.724
O: 0.063 0.727 0.005
O: 0.580 0.171 0.982
O: 0.276 0.955 0.301
O: 0.437 0.273 0.505
O: 0.171 0.982 0.580
O: 0.761 0.098 0.850
O: 0.739 0.902 0.350
O: 0.329 0.018 0.080
O: 0.902 0.350 0.739
O: 0.080 0.329 0.018
O: 0.937 0.227 0.495
O: 0.545 0.699 0.776
O: 0.227 0.495 0.937
O: 0.995 0.563 0.773
O: 0.920 0.829 0.482
O: 0.301 0.276 0.955
O: 0.829 0.482 0.920
O: 0.018 0.080 0.329
O: 0.518 0.420 0.671
O: 0.350 0.739 0.902
O: 0.699 0.776 0.545
O: 0.402 0.150 0.261
O: 0.955 0.301 0.276
O: 0.727 0.005 0.063
O: 0.776 0.545 0.699
O: 0.261 0.402 0.150
O: 0.199 0.724 0.455
O: 0.239 0.598 0.650
O: 0.098 0.850 0.761
O: 0.773 0.995 0.563
O: 0.420 0.671 0.518
O: 0.482 0.920 0.829
O: 0.598 0.650 0.239
O: 0.045 0.801 0.224
P: 0.216 0.375 0.016
P: 0.984 0.716 0.125
P: 0.125 0.984 0.716
P: 0.484 0.784 0.875
P: 0.016 0.216 0.375
P: 0.375 0.016 0.216
P: 0.784 0.875 0.484
P: 0.875 0.484 0.784
P: 0.625 0.516 0.284
P: 0.516 0.284 0.625
P: 0.716 0.125 0.984
P: 0.284 0.625 0.516
Y: 0.101 0.899 0.399
Y: 0.601 0.601 0.601
Y: 0.166 0.666 0.834
Y: 0.899 0.399 0.101
Y: 0.666 0.834 0.166
Y: 0.399 0.101 0.899
Y: 0.334 0.334 0.334
Y: 0.834 0.166 0.666
Rb: 0.546 0.454 0.954
Rb: 0.682 0.182 0.318
Rb: 0.318 0.682 0.182
Rb: 0.818 0.818 0.818
Rb: 0.182 0.318 0.682
Rb: 0.046 0.046 0.046
Rb: 0.454 0.954 0.546
Rb: 0.954 0.546 0.454


Te2Mo2WSe2S2: optimized geometry, meta-GGA r2SCAN.

Computed properties:
Formation energy: -0.58 eV per atom
Spin magnetization: 0.000 μB/cell
Calculated total energy: -22.69 eV per atom
Volume: 295 Å³/cell

Lattice parameters (Å, degrees): 3.340 3.340 30.494 90.00 90.00 120.00
Positions (direct):
W: 0.000 0.000 0.578
Te: 0.000 0.000 0.286
Te: 0.000 0.000 0.409
S: 0.333 0.667 0.628
S: 0.333 0.667 0.529
Se: 0.333 0.667 0.169
Se: 0.333 0.667 0.061
Mo: 0.000 0.000 0.115
Mo: 0.333 0.667 0.348


ZnCdPt2: optimized geometry, meta-GGA r2SCAN.

Computed properties:
Formation energy: -0.52 eV per atom
Spin magnetization: 0.000 μB/cell
Calculated total energy: -33.51 eV per atom
Volume: 63 Å³/cell

Lattice parameters (Å, degrees): 2.924 2.924 7.316 90.00 90.00 90.00
Positions (direct):
Pt: 0.500 0.500 0.776
Pt: 0.500 0.500 0.224
Cd: 0.000 0.000 0.500
Zn: 0.000 0.000 0.000


InNi: optimized geometry, meta-GGA r2SCAN.

Computed properties:
Formation energy: -0.21 eV per atom
Spin magnetization: 0.000 μB/cell
Calculated total energy: -17.49 eV per atom
Volume: 102 Å³/cell

Lattice parameters (Å, degrees): 5.221 5.221 4.330 90.00 90.00 120.00
Positions (direct):
In: 0.667 0.333 0.500
In: 0.333 0.667 0.500
In: 0.000 0.000 0.000
Ni: 0.500 0.000 0.000
Ni: 0.500 0.500 0.000
Ni: 0.000 0.500 0.000


SrYb3: optimized geometry, meta-GGA r2SCAN.

Computed properties:
Formation energy: 0.28 eV per atom
Spin magnetization: 2.922 μB/cell
Calculated total energy: -30.90 eV per atom
Volume: 138 Å³/cell

Lattice parameters (Å, degrees): 5.169 5.169 5.169 90.00 90.00 90.00
Positions (direct):
Yb: 0.000 0.500 0.500
Yb: 0.500 0.000 0.500
Yb: 0.500 0.500 0.000
Sr: 0.000 0.000 0.000


YbMnCuP2: optimized geometry, meta-GGA r2SCAN.

Computed properties:
Formation energy: -0.97 eV per atom
Spin magnetization: 4.706 μB/cell
Calculated total energy: -16.98 eV per atom
Volume: 87 Å³/cell

Lattice parameters (Å, degrees): 3.943 3.943 6.437 90.00 90.00 120.00
Positions (direct):
P: 0.000 0.000 0.746
P: 0.667 0.333 0.249
Yb: 0.333 0.667 0.988
Mn: 0.000 0.000 0.378
Cu: 0.667 0.333 0.640


Cs2NaSmCl6: optimized geometry, meta-GGA r2SCAN.

Computed properties:
Formation energy: -2.38 eV per atom
Spin magnetization: 0.000 μB/cell
Calculated total energy: -14.42 eV per atom
Volume: 320 Å³/cell

Lattice parameters (Å, degrees): 7.677 7.677 7.677 60.00 60.00 60.00
Positions (direct):
Cl: 0.248 0.248 0.752
Cl: 0.752 0.248 0.248
Cl: 0.752 0.248 0.752
Cl: 0.752 0.752 0.248
Cl: 0.248 0.752 0.248
Cl: 0.248 0.752 0.752
Cs: 0.250 0.250 0.250
Cs: 0.750 0.750 0.750
Na: 0.500 0.500 0.500
Sm: 0.000 0.000 0.000


DySi2Rh2: optimized geometry, meta-GGA r2SCAN.

Computed properties:
Formation energy: -1.20 eV per atom
Spin magnetization: 0.000 μB/cell
Calculated total energy: -20.76 eV per atom
Volume: 81 Å³/cell

Lattice parameters (Å, degrees): 4.037 4.037 5.731 110.62 110.62 90.00
Positions (direct):
Si: 0.378 0.378 0.756
Si: 0.622 0.622 0.244
Dy: 0.000 0.000 0.000
Rh: 0.750 0.250 0.500
Rh: 0.250 0.750 0.500


Look up the volume of the fifth one. 138 Å³/cell


Which of these has the highest formation energy? SrYb3


Repeat the sixth record exactly.
YbMnCuP2: optimized geometry, meta-GGA r2SCAN.

Computed properties:
Formation energy: -0.97 eV per atom
Spin magnetization: 4.706 μB/cell
Calculated total energy: -16.98 eV per atom
Volume: 87 Å³/cell

Lattice parameters (Å, degrees): 3.943 3.943 6.437 90.00 90.00 120.00
Positions (direct):
P: 0.000 0.000 0.746
P: 0.667 0.333 0.249
Yb: 0.333 0.667 0.988
Mn: 0.000 0.000 0.378
Cu: 0.667 0.333 0.640